1.
Computed, not measured: crystalline Ba2PrMgRuO6 at its relaxed geometry at the GGA-PBE level of DFT.

```
Ba2PrMgRuO6
1.0
3.027 1.747 5.751
-3.027 1.747 5.751
0.000 -3.495 5.751
Ba Pr Mg Ru O
2 1 1 1 6
Direct
0.000 0.000 0.000
0.455 0.455 0.455
0.655 0.655 0.655
0.822 0.822 0.822
0.181 0.181 0.181
0.406 0.406 0.935
0.406 0.935 0.406
0.442 0.937 0.937
0.935 0.406 0.406
0.937 0.442 0.937
0.937 0.937 0.442
```

Spin magnetization ... 1.000 Bohr magnetons per cell
Relative energy among the computed polymorphs ... 83.9 meV per atom

***

2.
Computed, not measured: crystalline Ba2PrMgRuO6 at its relaxed geometry at the GGA-PBE level of DFT.

```
Ba2PrMgRuO6
1.0
2.980 1.720 5.916
-2.980 1.720 5.916
0.000 -3.441 5.916
Ba Pr Mg Ru O
2 1 1 1 6
Direct
0.000 0.000 0.000
0.419 0.419 0.419
0.207 0.207 0.207
0.827 0.827 0.827
0.686 0.686 0.686
0.449 0.934 0.934
0.464 0.464 0.941
0.464 0.941 0.464
0.934 0.449 0.934
0.934 0.934 0.449
0.941 0.464 0.464
```

Spin magnetization ... 1.000 Bohr magnetons per cell
Relative energy among the computed polymorphs ... 0.0 meV per atom

***

3.
Computed, not measured: crystalline Ba2PrMgRuO6 at its relaxed geometry at the GGA-PBE level of DFT.

```
Ba2PrMgRuO6
1.0
-3.024 3.107 4.690
3.024 -3.107 4.690
3.024 3.107 -4.690
Ba Pr Mg Ru O
2 1 1 1 6
Direct
0.188 0.188 0.000
0.812 0.812 0.000
0.500 0.000 0.500
0.500 0.500 0.000
0.000 0.500 0.500
0.230 0.730 0.500
0.252 0.279 0.531
0.252 0.721 0.973
0.748 0.279 0.027
0.748 0.721 0.469
0.770 0.270 0.500
```

Spin magnetization ... 1.000 Bohr magnetons per cell
Relative energy among the computed polymorphs ... 61.8 meV per atom

***

4.
Computed, not measured: crystalline Rb2Ba8MgSb6O2 at its relaxed geometry at the GGA-PBE level of DFT.

```
Rb2Ba8MgSb6O2
1.0
0.000 8.477 6.806
6.405 0.000 6.806
6.405 8.477 0.000
Rb Ba Mg Sb O
2 8 1 6 2
Direct
0.242 0.758 0.758
0.758 0.242 0.242
0.037 0.443 0.250
0.209 0.583 0.417
0.249 0.944 0.056
0.443 0.037 0.270
0.583 0.209 0.791
0.730 0.750 0.557
0.750 0.730 0.963
0.944 0.249 0.751
0.422 0.422 0.578
0.133 0.365 0.867
0.365 0.133 0.635
0.496 0.496 0.004
0.617 0.617 0.383
0.885 0.885 0.115
0.996 0.996 0.504
0.497 0.978 0.022
0.978 0.497 0.503
```

Spin magnetization ... 0.000 Bohr magnetons per cell
Relative energy among the computed polymorphs ... 35.1 meV per atom

***

5.
Computed, not measured: crystalline Rb2Ba8MgSb6O2 at its relaxed geometry at the GGA-PBE level of DFT.

```
Rb2Ba8MgSb6O2
1.0
9.372 0.000 0.000
-1.257 9.783 0.000
-4.375 -4.288 8.114
Rb Ba Mg Sb O
2 8 1 6 2
Direct
0.000 0.000 0.000
0.484 0.471 0.982
0.181 0.734 0.722
0.291 0.532 0.338
0.496 0.011 0.704
0.505 0.880 0.249
0.693 0.540 0.724
0.793 0.229 0.249
0.960 0.186 0.683
0.990 0.794 0.293
0.469 0.214 0.332
0.105 0.589 0.983
0.264 0.232 0.479
0.356 0.139 0.000
0.632 0.827 0.977
0.752 0.761 0.518
0.871 0.380 0.997
0.238 0.763 0.508
0.688 0.180 0.432
```

Spin magnetization ... 0.002 Bohr magnetons per cell
Relative energy among the computed polymorphs ... 0.0 meV per atom

***

6.
Computed, not measured: crystalline Rb2Ba8MgSb6O2 at its relaxed geometry at the GGA-PBE level of DFT.

```
Rb2Ba8MgSb6O2
1.0
9.455 0.000 0.000
-0.599 9.580 0.000
-4.487 -4.196 8.098
Rb Ba Mg Sb O
2 8 1 6 2
Direct
0.000 0.000 0.000
0.432 0.390 0.889
0.181 0.951 0.663
0.288 0.778 0.280
0.489 0.305 0.284
0.495 0.679 0.691
0.698 0.198 0.693
0.864 0.097 0.363
0.980 0.545 0.742
0.999 0.471 0.273
0.652 0.730 0.181
0.127 0.346 0.978
0.264 0.229 0.467
0.405 0.877 0.020
0.606 0.090 0.985
0.736 0.761 0.496
0.837 0.656 0.026
0.240 0.720 0.485
0.760 0.296 0.518
```

Spin magnetization ... 0.000 Bohr magnetons per cell
Relative energy among the computed polymorphs ... 5.6 meV per atom

***

Number 1: electronic total energy -71.3 eV per cell, calculated formation energy -2382.4 meV/atom. Number 2: electronic total energy -72.2 eV per cell, calculated formation energy -2466.4 meV/atom. Number 3: electronic total energy -71.5 eV per cell, calculated formation energy -2404.6 meV/atom. Number 4: electronic total energy -75.1 eV per cell, calculated formation energy -1205.9 meV/atom. Number 5: electronic total energy -75.8 eV per cell, calculated formation energy -1240.9 meV/atom. Number 6: electronic total energy -75.7 eV per cell, calculated formation energy -1235.4 meV/atom.